No. 1
KTiF4 after structural relaxation. Source: Materials Project, functional PBE-GGA.

Unit cell a=7.831 b=7.831 c=4.012 alpha=75.74 beta=75.74 gamma=67.51
Fractional positions:
F: 0.805 0.195 0.500
F: 0.556 0.200 0.118
F: 0.101 0.101 0.902
K: 0.692 0.692 0.314
F: 0.200 0.556 0.118
F: 0.899 0.899 0.098
F: 0.195 0.805 0.500
Ti: 0.811 0.189 0.000
K: 0.308 0.308 0.686
F: 0.444 0.800 0.882
F: 0.800 0.444 0.882
Ti: 0.189 0.811 0.000

Computed properties:
* space-group type: No. 12
* total energy after the MP2020 corrections: -75.07 eV per cell
* energy above the lowest structure with this stoichiometry: 19.8 meV/atom

No. 2
Na4Al2Zn2SiS5O24 after structural relaxation. Source: Materials Project, functional PBE-GGA.

Unit cell a=8.711 b=8.681 c=21.873 alpha=90.11 beta=89.74 gamma=120.16
Fractional positions:
O: 0.801 0.964 0.417
O: 0.888 0.372 0.640
Zn: 0.681 0.347 0.991
O: 0.503 0.636 0.581
Na: 0.337 0.039 0.421
O: 0.125 0.471 0.856
O: 0.173 0.989 0.200
O: 0.324 0.482 0.474
S: 0.627 0.954 0.419
Al: 0.659 0.316 0.682
O: 0.032 0.829 0.418
O: 0.344 0.475 0.362
Al: 0.327 0.671 0.520
O: 0.861 0.503 0.425
O: 0.226 0.026 0.311
Zn: 0.337 0.664 0.313
O: 0.854 0.302 0.531
O: 0.517 0.840 0.072
O: 0.301 0.838 0.250
O: 0.170 0.662 0.070
O: 0.214 0.168 0.805
S: 0.297 0.009 0.251
S: 0.665 0.029 0.082
O: 0.157 0.972 0.911
O: 0.682 0.529 0.245
O: 0.159 0.681 0.469
O: 0.832 0.562 0.031
Al: 0.322 0.667 0.016
O: 0.697 0.137 0.028
O: 0.495 0.365 0.421
O: 0.533 0.703 0.250
O: 0.818 0.808 0.593
Na: 0.318 0.663 0.162
O: 0.813 0.790 0.305
O: 0.352 0.835 0.576
S: 0.359 0.331 0.082
O: 0.826 0.012 0.093
O: 0.137 0.678 0.753
S: 0.631 0.671 0.917
O: 0.173 0.202 0.421
Na: 0.345 0.671 0.667
S: 0.289 0.281 0.749
O: 0.161 0.004 0.596
O: 0.810 0.840 0.913
S: 0.983 0.709 0.750
Na: 0.996 0.629 0.243
O: 0.158 0.467 0.247
Na: 0.679 0.683 0.079
O: 0.147 0.496 0.577
O: 0.178 0.193 0.695
S: 0.667 0.622 0.585
O: 0.531 0.648 0.861
O: 0.517 0.872 0.364
S: 0.038 0.659 0.417
S: 0.048 0.372 0.914
Si: 0.356 0.029 0.583
O: 0.539 0.691 0.972
Si: 0.717 0.004 0.747
O: 0.300 0.456 0.754
Na: 0.014 0.996 0.003
O: 0.041 0.194 0.911
O: 0.352 0.498 0.070
O: 0.837 0.303 0.246
O: 0.819 0.533 0.743
O: 0.802 0.817 0.193
O: 0.617 0.094 0.137
O: 0.474 0.373 0.136
Na: 0.373 0.994 0.750
O: 0.988 0.195 0.307
O: 0.998 0.842 0.096
O: 0.647 0.508 0.638
Zn: 0.360 0.684 0.816
O: 0.698 0.188 0.742
Na: 0.659 0.976 0.590
O: 0.480 0.143 0.924
O: 0.349 0.893 0.855
O: 0.534 0.850 0.476
Al: 0.999 0.995 0.648
O: 0.305 0.843 0.966
O: 0.007 0.185 0.195
S: 0.968 0.339 0.584
O: 0.867 0.342 0.921
O: 0.163 0.469 0.966
O: 0.470 0.306 0.741
Zn: 0.677 0.336 0.172
O: 0.968 0.794 0.807
O: 0.021 0.826 0.696
O: 0.175 0.186 0.095
O: 0.427 0.137 0.519
O: 0.848 0.042 0.806
O: 0.501 0.128 0.639
Zn: 0.650 0.325 0.490
Zn: 0.996 0.002 0.352
S: 0.326 0.964 0.915
O: 0.904 0.527 0.148
O: 0.813 0.987 0.686
O: 0.515 0.834 0.750
Na: 0.016 0.003 0.503
Al: 0.987 0.001 0.854
Na: 0.997 0.361 0.757
Na: 0.666 0.334 0.331
S: 0.334 0.384 0.419
O: 0.474 0.164 0.242
Si: 0.979 0.644 0.085
Na: 0.666 0.334 0.841
O: 0.113 0.643 0.358
O: 0.427 0.282 0.029
Al: 0.004 0.001 0.149
O: 0.650 0.136 0.423
S: 0.705 0.710 0.249
O: 0.654 0.515 0.922
O: 0.705 0.558 0.528
S: 0.997 0.285 0.249
O: 0.986 0.178 0.592

Computed properties:
* total magnetization: 0.0 μB/f.u.
* space-group type: No. 1
* total energy after the MP2020 corrections: -736.61 eV per cell

No. 3
Ag3BiO3 after structural relaxation. Source: Materials Project, functional PBE-GGA.

Unit cell a=11.155 b=11.155 c=11.155 alpha=99.18 beta=99.18 gamma=132.93
Fractional positions:
Ag: 0.867 0.095 0.229
Ag: 0.779 0.829 0.346
Ag: 0.427 0.905 0.645
O: 0.690 0.245 0.373
O: 0.561 0.797 0.329
Ag: 0.888 0.617 0.273
Ag: 0.264 0.828 0.865
Ag: 0.683 0.529 0.450
Bi: 0.397 0.716 0.121
O: 0.615 0.991 0.119
Ag: 0.866 0.638 0.771
O: 0.047 0.218 0.736
Ag: 0.649 0.014 0.935
O: 0.567 0.440 0.945
O: 0.126 0.240 0.370
Ag: 0.260 0.782 0.355
O: 0.241 0.622 0.875
Ag: 0.821 0.708 0.065
Ag: 0.703 0.058 0.462
Ag: 0.491 0.453 0.145
Ag: 0.079 0.233 0.550
O: 0.687 0.027 0.751
O: 0.870 0.757 0.630
Ag: 0.642 0.756 0.935
O: 0.495 0.622 0.055
O: 0.053 0.988 0.134
Ag: 0.964 0.399 0.135
O: 0.872 0.496 0.881
O: 0.872 0.317 0.627
O: 0.277 0.026 0.841
Ag: 0.483 0.433 0.654
Bi: 0.768 0.897 0.673
O: 0.007 0.876 0.387
O: 0.482 0.311 0.264
Ag: 0.032 0.177 0.022
Ag: 0.155 0.010 0.978
Bi: 0.147 0.973 0.629
Ag: 0.345 0.616 0.727
Bi: 0.223 0.094 0.327
O: 0.490 0.620 0.613
Ag: 0.308 0.346 0.855
Bi: 0.966 0.345 0.818
Ag: 0.958 0.392 0.386
Bi: 0.344 0.518 0.371
Ag: 0.078 0.714 0.065
Bi: 0.595 0.276 0.879
O: 0.468 0.232 0.671
O: 0.238 0.604 0.435
O: 0.276 0.935 0.249
O: 0.746 0.365 0.125
Bi: 0.526 0.147 0.182
O: 0.854 0.919 0.866
Ag: 0.596 0.241 0.538
O: 0.169 0.803 0.565
Ag: 0.006 0.571 0.614
O: 0.185 0.437 0.159

Computed properties:
* total magnetization: 0.0 μB/f.u.
* space-group type: No. 80
* total energy after the MP2020 corrections: -261.98 eV per cell

No. 4
CuPbBr3 after structural relaxation. Source: Materials Project, functional PBE-GGA.

Unit cell a=7.998 b=7.998 c=7.998 alpha=119.40 beta=119.40 gamma=91.04
Fractional positions:
Pb: 0.500 0.500 0.000
Br: 0.750 0.750 0.000
Br: 0.350 0.150 0.500
Cu: 0.250 0.750 0.500
Br: 0.150 0.650 0.799
Pb: 0.000 0.000 0.000
Br: 0.250 0.250 0.000
Br: 0.850 0.350 0.201
Br: 0.650 0.850 0.500
Cu: 0.750 0.250 0.500

Computed properties:
* total magnetization: 0.0 μB/f.u.
* space-group type: No. 140
* total energy after the MP2020 corrections: -30.62 eV per cell

No. 5
Li2Ti3O7 after structural relaxation. Source: Materials Project, functional PBE-GGA.

Unit cell a=5.706 b=5.706 c=10.571 alpha=88.25 beta=88.25 gamma=51.28
Fractional positions:
O: 0.247 0.116 0.162
Li: 0.527 0.175 0.683
O: 0.627 0.373 0.250
Ti: 0.762 0.118 0.396
O: 0.753 0.884 0.838
Ti: 0.500 0.000 0.000
Ti: 0.882 0.238 0.104
O: 0.329 0.406 0.982
O: 0.671 0.594 0.018
O: 0.884 0.753 0.338
O: 0.077 0.134 0.427
Ti: 0.000 0.500 0.500
Ti: 0.118 0.762 0.896
O: 0.866 0.923 0.073
O: 0.923 0.866 0.573
Li: 0.825 0.473 0.817
O: 0.116 0.247 0.662
Li: 0.175 0.527 0.183
O: 0.406 0.329 0.482
O: 0.594 0.671 0.518
Li: 0.473 0.825 0.317
O: 0.134 0.077 0.927
O: 0.373 0.627 0.750
Ti: 0.238 0.882 0.604

Computed properties:
* total magnetization: 0.0 μB/f.u.
* space-group type: No. 15
* total energy after the MP2020 corrections: -200.89 eV per cell
* energy above the lowest structure with this stoichiometry: 37.4 meV/atom

No. 6
KTbRuC6N6O4 after structural relaxation. Source: Materials Project, functional PBE-GGA.

Unit cell a=7.563 b=7.563 c=14.282 alpha=90.00 beta=90.00 gamma=122.68
Fractional positions:
Ru: 0.500 0.500 0.000
N: 0.883 0.700 0.855
O: 0.933 0.349 0.750
C: 0.628 0.372 0.078
N: 0.700 0.883 0.355
N: 0.117 0.300 0.145
O: 0.349 0.933 0.250
O: 0.817 0.183 0.822
C: 0.365 0.249 0.587
C: 0.365 0.249 0.913
N: 0.300 0.117 0.645
N: 0.300 0.117 0.855
C: 0.249 0.365 0.413
K: 0.519 0.481 0.250
N: 0.695 0.305 0.133
C: 0.372 0.628 0.578
Tb: 0.831 0.169 0.250
N: 0.700 0.883 0.145
C: 0.635 0.751 0.087
N: 0.695 0.305 0.367
N: 0.305 0.695 0.867
C: 0.751 0.635 0.913
Tb: 0.169 0.831 0.750
O: 0.067 0.651 0.250
N: 0.883 0.700 0.645
N: 0.117 0.300 0.355
C: 0.249 0.365 0.087
Ru: 0.500 0.500 0.500
O: 0.817 0.183 0.678
C: 0.628 0.372 0.422
O: 0.183 0.817 0.322
O: 0.651 0.067 0.750
C: 0.635 0.751 0.413
N: 0.305 0.695 0.633
O: 0.183 0.817 0.178
C: 0.751 0.635 0.587
C: 0.372 0.628 0.922
K: 0.481 0.519 0.750

Computed properties:
* total magnetization: 0.0 μB/f.u.
* space-group type: No. 63
* total energy after the MP2020 corrections: -284.61 eV per cell

No. 7
Cs2SbF5 after structural relaxation. Source: Materials Project, functional PBE-GGA.

Unit cell a=6.702 b=8.505 c=13.057 alpha=90.00 beta=90.00 gamma=90.00
Fractional positions:
Sb: 0.750 0.828 0.064
F: 0.024 0.317 0.875
F: 0.250 0.539 0.700
Cs: 0.750 0.499 0.723
Sb: 0.750 0.328 0.436
F: 0.976 0.683 0.125
Cs: 0.250 0.501 0.277
F: 0.750 0.461 0.300
F: 0.024 0.817 0.625
Cs: 0.750 0.999 0.777
F: 0.524 0.183 0.375
F: 0.750 0.684 0.914
F: 0.500 0.500 0.500
F: 0.524 0.683 0.125
F: 0.750 0.184 0.586
Sb: 0.250 0.672 0.564
Cs: 0.250 0.001 0.223
F: 0.000 0.000 0.000
F: 0.250 0.316 0.086
F: 0.976 0.183 0.375
F: 0.500 0.000 0.000
Cs: 0.750 0.341 0.081
F: 0.750 0.961 0.200
F: 0.476 0.817 0.625
Sb: 0.250 0.172 0.936
F: 0.000 0.500 0.500
F: 0.476 0.317 0.875
Cs: 0.250 0.159 0.581
F: 0.250 0.816 0.414
Cs: 0.250 0.659 0.919
Cs: 0.750 0.841 0.419
F: 0.250 0.039 0.800

Computed properties:
* total magnetization: 0.0 μB/f.u.
* space-group type: No. 62
* total energy after the MP2020 corrections: -153.65 eV per cell
* energy above the lowest structure with this stoichiometry: 53.5 meV/atom

No. 8
PuO2 after structural relaxation. Source: Materials Project, functional PBE-GGA.

Unit cell a=3.808 b=3.808 c=3.808 alpha=60.00 beta=60.00 gamma=60.00
Fractional positions:
Pu: 0.000 0.000 0.000
O: 0.250 0.250 0.250
O: 0.750 0.750 0.750

Computed properties:
* space-group type: No. 225
* total energy after the MP2020 corrections: -35.11 eV per cell